# 1
Here is a relaxed CsNaMg14O15 crystal from the Materials Project. Energies are from GGA-PBE.

```
CsNaMg14O15
1.0
-5.887 -6.140 0.936
2.306 -3.408 -7.858
2.999 -2.571 1.995
O Mg Na Cs
15 14 1 1
direct
0.513 0.500 0.500
0.502 0.227 0.000
0.256 0.260 0.500
0.003 0.500 0.500
0.256 0.740 0.500
0.751 0.500 0.000
0.021 0.724 0.000
0.757 0.248 0.500
0.502 0.773 0.000
0.264 0.000 0.000
0.021 0.276 0.000
0.745 0.000 0.000
0.757 0.752 0.500
0.011 0.000 0.500
0.500 0.000 0.500
0.509 0.241 0.500
0.253 0.000 0.500
0.746 0.750 0.000
0.760 0.000 0.500
0.745 0.500 0.500
0.976 0.500 0.000
0.250 0.216 0.000
0.509 0.759 0.500
0.250 0.784 0.000
0.002 0.246 0.500
0.510 0.000 0.000
0.231 0.500 0.500
0.746 0.250 0.000
0.002 0.754 0.500
0.998 0.000 0.000
0.401 0.500 0.000
```

Summary:
Space-group type = Pmm2
Offset from the most stable computed form = 12 meV/atom
Electronic total energy = -5.502 eV/atom
Energy of formation = -82.0 eV/f.u.
Corrected total energy (MP2020 scheme) = -5.834 eV per atom
Spin magnetization = 0.0 μB per formula unit



# 2
Here is a relaxed CsNaMg14O15 crystal from the Materials Project. Energies are from GGA-PBE.

```
CsNaMg14O15
1.0
4.200 0.000 0.000
0.000 8.372 0.000
0.000 0.000 10.694
O Mg Cs Na
15 14 1 1
direct
0.500 0.000 0.968
0.000 0.000 0.258
0.500 0.232 0.772
0.500 0.000 0.469
0.500 0.249 0.193
0.000 0.500 0.176
0.500 0.500 0.977
0.000 0.745 0.980
0.500 0.500 0.586
0.000 0.197 0.590
0.000 0.255 0.980
0.000 0.803 0.590
0.500 0.768 0.772
0.000 0.500 0.789
0.500 0.751 0.193
0.500 0.500 0.169
0.000 0.751 0.182
0.000 0.000 0.483
0.000 0.500 0.979
0.000 0.270 0.770
0.500 0.240 0.985
0.500 0.500 0.773
0.500 0.000 0.792
0.500 0.000 0.272
0.500 0.760 0.985
0.500 0.242 0.577
0.000 0.730 0.770
0.500 0.758 0.577
0.000 0.249 0.182
0.000 0.500 0.439
0.000 0.000 0.023
```

Summary:
Space-group type = Pmm2
Offset from the most stable computed form = 0 meV/atom
Electronic total energy = -5.514 eV/atom
Energy of formation = -82.4 eV/f.u.
Corrected total energy (MP2020 scheme) = -5.846 eV per atom
Spin magnetization = 0.0 μB per formula unit



# 3
Here is a relaxed CsMg6Nb crystal from the Materials Project. Energies are from GGA-PBE.

```
CsMg6Nb
1.0
5.331 0.000 0.000
0.000 6.929 0.000
0.000 0.000 11.184
Mg Cs Nb
12 2 2
direct
0.000 0.707 0.095
0.000 0.293 0.095
0.500 0.500 0.652
0.500 0.285 0.916
0.500 0.785 0.416
0.000 0.793 0.595
0.000 0.207 0.595
0.500 0.715 0.916
0.000 0.000 0.317
0.500 0.000 0.152
0.500 0.215 0.416
0.000 0.500 0.817
0.000 0.000 0.864
0.000 0.500 0.364
0.500 0.500 0.144
0.500 0.000 0.644
```

Summary:
Offset from the most stable computed form = 119 meV/atom
Electronic total energy = -2.053 eV/atom
Energy of formation = 4.2 eV/f.u.
Spin magnetization = 0.2 μB per formula unit



# 4
Here is a relaxed CsMg6Nb crystal from the Materials Project. Energies are from GGA-PBE.

```
CsMg6Nb
1.0
-3.549 5.603 2.758
1.692 -2.191 6.628
3.473 2.267 -0.137
Mg Cs Nb
6 1 1
direct
0.293 0.293 0.000
0.707 0.293 0.000
0.000 0.500 0.500
0.707 0.707 0.000
0.500 0.000 0.500
0.293 0.707 0.000
0.000 0.000 0.500
0.500 0.500 0.500
```

Summary:
Space-group type = P4/mmm
Offset from the most stable computed form = 0 meV/atom
Electronic total energy = -2.171 eV/atom
Energy of formation = 3.2 eV/f.u.
Spin magnetization = 1.3 μB per formula unit



# 5
Here is a relaxed CsMgNbP2O8 crystal from the Materials Project. Energies are from GGA-PBE.

```
CsMgNbP2O8
1.0
-2.878 3.866 1.877
-4.016 1.726 -2.870
-7.598 -5.604 4.330
P O Mg Nb Cs
2 8 1 1 1
direct
0.623 0.619 0.687
0.393 0.388 0.322
0.658 0.634 0.828
0.795 0.743 0.582
0.355 0.335 0.183
0.287 0.802 0.664
0.257 0.719 0.338
0.232 0.241 0.418
0.723 0.300 0.661
0.728 0.241 0.344
0.130 0.118 0.257
0.996 0.996 0.527
0.925 0.951 0.918
```

Summary:
Space-group type = P1
Offset from the most stable computed form = 4 meV/atom
Electronic total energy = -7.007 eV/atom
Energy of formation = -33.6 eV/f.u.
Corrected total energy (MP2020 scheme) = -7.429 eV per atom
Spin magnetization = 1.9 μB per formula unit



# 6
Here is a relaxed CsMgNbP2O8 crystal from the Materials Project. Energies are from GGA-PBE.

```
CsMgNbP2O8
1.0
-0.786 -3.949 -3.218
-1.241 -4.500 2.186
-8.978 2.125 -0.540
O P Mg Cs Nb
8 2 1 1 1
direct
0.311 0.311 0.166
0.298 0.740 0.674
0.766 0.766 0.597
0.245 0.702 0.352
0.702 0.245 0.352
0.682 0.682 0.865
0.245 0.245 0.443
0.740 0.298 0.674
0.371 0.371 0.317
0.634 0.634 0.709
0.333 0.333 0.635
0.987 0.987 0.040
0.999 0.999 0.503
```

Summary:
Space-group type = Cm
Offset from the most stable computed form = 0 meV/atom
Electronic total energy = -7.010 eV/atom
Energy of formation = -33.6 eV/f.u.
Corrected total energy (MP2020 scheme) = -7.433 eV per atom
Spin magnetization = 2.0 μB per formula unit



# 7
Here is a relaxed CsMg6Ni crystal from the Materials Project. Energies are from GGA-PBE.

```
CsMg6Ni
1.0
-6.216 -5.138 5.260
5.478 -0.130 2.765
-1.117 3.800 2.392
Ni Mg Cs
1 6 1
direct
0.402 0.451 0.250
0.399 0.213 0.750
0.769 0.135 0.750
0.723 0.611 0.750
0.616 0.299 0.250
0.616 0.817 0.250
0.399 0.685 0.750
0.076 0.788 0.250
```

Summary:
Space-group type = Amm2
Electronic total energy = -1.796 eV/atom
Energy of formation = 1.9 eV/f.u.
Spin magnetization = 0.0 μB per formula unit



# 8
Here is a relaxed CsMgO3 crystal from the Materials Project. Energies are from GGA-PBE.

```
CsMgO3
1.0
4.292 0.000 0.000
0.000 4.292 0.000
0.000 0.000 4.292
Cs O Mg
1 3 1
direct
0.500 0.500 0.500
0.000 0.500 0.000
0.500 0.000 0.000
0.000 0.000 0.500
0.000 0.000 0.000
```

Summary:
Space-group type = Pm-3m
Electronic total energy = -4.385 eV/atom
Energy of formation = -6.6 eV/f.u.
Corrected total energy (MP2020 scheme) = -4.797 eV per atom
Spin magnetization = 3.0 μB per formula unit



# 9
Here is a relaxed Cs2MgZrP3O12 crystal from the Materials Project. Energies are from GGA-PBE.

```
Cs2MgZrP3O12
1.0
10.444 0.000 0.000
0.000 10.444 0.000
0.000 0.000 10.444
P O Mg Cs Zr
12 48 4 8 4
direct
0.206 0.373 0.021
0.706 0.127 0.979
0.979 0.706 0.127
0.294 0.627 0.521
0.127 0.979 0.706
0.021 0.206 0.373
0.627 0.521 0.294
0.873 0.479 0.794
0.794 0.873 0.479
0.373 0.021 0.206
0.479 0.794 0.873
0.521 0.294 0.627
0.161 0.258 0.392
0.996 0.050 0.723
0.547 0.712 0.772
0.165 0.978 0.564
0.108 0.839 0.758
0.788 0.228 0.047
0.450 0.277 0.496
0.950 0.223 0.504
0.277 0.496 0.450
0.892 0.339 0.742
0.453 0.212 0.728
0.478 0.936 0.835
0.004 0.550 0.777
0.839 0.758 0.108
0.772 0.547 0.712
0.242 0.608 0.661
0.050 0.723 0.996
0.228 0.047 0.788
0.436 0.665 0.522
0.742 0.892 0.339
0.272 0.953 0.288
0.522 0.436 0.665
0.212 0.728 0.453
0.712 0.772 0.547
0.728 0.453 0.212
0.022 0.064 0.335
0.392 0.161 0.258
0.978 0.564 0.165
0.258 0.392 0.161
0.936 0.835 0.478
0.665 0.522 0.436
0.047 0.788 0.228
0.335 0.022 0.064
0.758 0.108 0.839
0.953 0.288 0.272
0.504 0.950 0.223
0.550 0.777 0.004
0.288 0.272 0.953
0.064 0.335 0.022
0.496 0.450 0.277
0.777 0.004 0.550
0.661 0.242 0.608
0.223 0.504 0.950
0.339 0.742 0.892
0.608 0.661 0.242
0.723 0.996 0.050
0.564 0.165 0.978
0.835 0.478 0.936
0.392 0.108 0.892
0.892 0.392 0.108
0.608 0.608 0.608
0.108 0.892 0.392
0.959 0.541 0.459
0.041 0.041 0.041
0.316 0.684 0.184
0.816 0.816 0.816
0.184 0.316 0.684
0.459 0.959 0.541
0.684 0.184 0.316
0.541 0.459 0.959
0.664 0.836 0.164
0.164 0.664 0.836
0.336 0.336 0.336
0.836 0.164 0.664
```

Summary:
Space-group type = P2_13
Electronic total energy = -7.077 eV/atom
Energy of formation = -55.2 eV/f.u.
Corrected total energy (MP2020 scheme) = -7.511 eV per atom
Spin magnetization = 1.0 μB per formula unit



# 10
Here is a relaxed Cs4MgZr3P6O24 crystal from the Materials Project. Energies are from GGA-PBE.

```
Cs4MgZr3P6O24
1.0
-7.760 6.932 -0.921
-6.947 -7.815 -0.046
-0.719 0.578 10.410
Zr O Cs P Mg
6 48 8 12 2
direct
0.083 0.914 0.414
0.360 0.644 0.141
0.140 0.356 0.641
0.910 0.412 0.087
0.417 0.086 0.914
0.590 0.588 0.587
0.976 0.302 0.247
0.230 0.415 0.815
0.752 0.476 0.199
0.413 0.815 0.229
0.730 0.084 0.186
0.700 0.744 0.527
0.581 0.315 0.269
0.245 0.973 0.300
0.911 0.857 0.493
0.770 0.916 0.686
0.524 0.698 0.747
0.919 0.685 0.769
0.537 0.203 0.522
0.087 0.185 0.729
0.473 0.201 0.754
0.204 0.521 0.538
0.027 0.799 0.254
0.521 0.541 0.204
0.270 0.585 0.315
0.007 0.090 0.358
0.703 0.976 0.459
0.858 0.493 0.911
0.186 0.727 0.087
0.994 0.587 0.143
0.642 0.507 0.411
0.255 0.027 0.800
0.199 0.753 0.476
0.357 0.005 0.088
0.493 0.910 0.858
0.459 0.704 0.977
0.685 0.768 0.918
0.314 0.273 0.587
0.797 0.024 0.959
0.800 0.256 0.027
0.301 0.247 0.976
0.589 0.143 0.993
0.506 0.413 0.643
0.023 0.961 0.797
0.411 0.642 0.506
0.815 0.232 0.418
0.089 0.358 0.006
0.979 0.459 0.704
0.477 0.039 0.297
0.143 0.995 0.588
0.748 0.524 0.699
0.041 0.296 0.477
0.296 0.479 0.038
0.963 0.797 0.022
0.294 0.284 0.290
0.714 0.797 0.210
0.928 0.571 0.430
0.064 0.065 0.066
0.206 0.716 0.790
0.786 0.203 0.710
0.572 0.429 0.930
0.436 0.935 0.566
0.953 0.228 0.375
0.040 0.728 0.123
0.460 0.272 0.623
0.770 0.879 0.545
0.227 0.374 0.958
0.273 0.626 0.458
0.877 0.547 0.773
0.124 0.040 0.730
0.547 0.772 0.875
0.730 0.121 0.045
0.623 0.453 0.273
0.376 0.960 0.230
0.855 0.859 0.856
0.645 0.141 0.356
```

Summary:
Space-group type = P2_1
Electronic total energy = -7.426 eV/atom
Energy of formation = -116.6 eV/f.u.
Corrected total energy (MP2020 scheme) = -7.860 eV per atom
Spin magnetization = 0.0 μB per formula unit



# 11
Here is a relaxed CsMg14SbO16 crystal from the Materials Project. Energies are from GGA-PBE.

```
CsMg14SbO16
1.0
8.876 0.000 0.000
0.000 9.010 0.000
0.000 0.000 4.565
O Mg Cs Sb
16 14 1 1
direct
0.749 0.251 0.500
0.500 0.742 0.000
0.000 0.000 0.500
0.500 0.500 0.500
0.251 0.251 0.500
0.749 0.749 0.500
0.500 0.000 0.500
0.000 0.729 0.000
0.000 0.271 0.000
0.288 0.000 0.000
0.251 0.749 0.500
0.267 0.500 0.000
0.712 0.000 0.000
0.000 0.500 0.500
0.733 0.500 0.000
0.500 0.258 0.000
0.263 0.000 0.500
0.735 0.754 0.000
0.263 0.500 0.500
0.000 0.245 0.500
0.735 0.246 0.000
0.500 0.249 0.500
0.265 0.246 0.000
0.265 0.754 0.000
0.500 0.000 0.000
0.500 0.751 0.500
0.500 0.500 0.000
0.737 0.500 0.500
0.000 0.755 0.500
0.737 0.000 0.500
0.000 0.000 0.000
0.000 0.500 0.000
```

Summary:
Space-group type = Pmmm
Offset from the most stable computed form = 20 meV/atom
Electronic total energy = -5.507 eV/atom
Energy of formation = -80.6 eV/f.u.
Corrected total energy (MP2020 scheme) = -5.851 eV per atom
Spin magnetization = 0.2 μB per formula unit



# 12
Here is a relaxed CsMg6SbO8 crystal from the Materials Project. Energies are from GGA-PBE.

```
CsMg6SbO8
1.0
9.206 0.000 0.000
0.000 4.790 0.000
0.000 0.000 4.790
Mg O Sb Cs
6 8 1 1
direct
0.242 0.000 0.500
0.758 0.500 0.000
0.242 0.500 0.000
0.500 0.500 0.500
0.000 0.500 0.500
0.758 0.000 0.500
0.000 0.000 0.500
0.745 0.500 0.500
0.500 0.500 0.000
0.274 0.000 0.000
0.500 0.000 0.500
0.255 0.500 0.500
0.726 0.000 0.000
0.000 0.500 0.000
0.500 0.000 0.000
0.000 0.000 0.000
```

Summary:
Space-group type = P4/mmm
Offset from the most stable computed form = 84 meV/atom
Electronic total energy = -5.060 eV/atom
Energy of formation = -32.2 eV/f.u.
Corrected total energy (MP2020 scheme) = -5.404 eV per atom
Spin magnetization = 0.0 μB per formula unit